1.
! MgZnCo4O8 | the Materials Project database | GGA+U | relaxed; values from VASP
&SYSTEM
  ibrav = 0, nat = 14, ntyp = 4
/
ATOMIC_SPECIES
Mg 24.30 Mg.upf
Zn 65.41 Zn.upf
Co 58.93 Co.upf
O 16.00 O.upf
ATOMIC_POSITIONS angstrom
Mg 2.960 7.175 8.563
Zn 1.244 1.588 1.975
Co 2.197 2.060 4.840
Co 1.043 4.761 3.179
Co 3.161 3.981 7.371
Co 2.012 6.665 5.735
O 3.180 5.812 7.018
O 1.825 3.194 6.267
O 2.378 5.541 4.309
O 1.028 2.920 3.577
O 1.683 8.014 7.055
O 2.984 1.892 1.094
O 2.489 0.707 3.540
O 1.368 5.296 1.520
CELL_PARAMETERS angstrom
3.023 0.089 0.581
1.408 7.209 1.685
-0.139 1.468 7.937
! Energy above the most stable polymorph in this dataset: 0 meV/atom
! Formation energy: -1.457 eV per atom
! Total moment: 11.998 μB/f.u.
! Symmetry: P1 (1)
! Total energy after the MP2020 corrections: -91.273 eV for the cell shown

***

2.
! K3Na5V3Mo5O24 | the Materials Project database | GGA+U | relaxed; values from VASP
&SYSTEM
  ibrav = 0, nat = 40, ntyp = 5
/
ATOMIC_SPECIES
K 39.10 K.upf
Na 22.99 Na.upf
V 50.94 V.upf
Mo 95.94 Mo.upf
O 16.00 O.upf
ATOMIC_POSITIONS angstrom
K -7.402 0.397 4.234
K -6.033 -4.792 3.639
K -6.129 -1.798 1.332
Na -7.273 -2.546 6.482
Na -3.683 -1.698 7.413
Na -3.776 1.175 5.196
Na -2.428 -3.857 4.550
Na -2.522 -0.988 2.335
V -6.160 0.462 7.378
V -1.199 -0.894 5.383
V -4.846 -1.751 4.438
Mo -2.604 4.456 5.909
Mo -6.072 -2.652 9.770
Mo -2.505 1.318 8.326
Mo -1.119 -4.011 7.774
Mo -4.790 -4.878 6.819
O -1.755 -2.901 9.237
O -5.416 -3.759 8.293
O -1.911 0.224 6.882
O -5.538 -0.619 5.975
O -0.475 -5.118 6.300
O -4.118 -5.982 5.346
O -0.584 -2.058 3.834
O -4.162 -2.927 2.878
O -2.462 -0.271 9.541
O -6.101 -1.148 8.605
O -2.575 2.927 7.076
O -6.192 2.095 6.120
O -1.184 -2.500 6.623
O -4.814 -3.357 5.685
O -1.291 0.722 4.111
O -4.890 -0.123 3.174
O -7.920 -3.087 9.281
O -4.245 -2.213 10.241
O -8.107 -0.024 6.864
O -4.300 0.899 7.845
O -6.643 -5.303 6.344
O -2.947 -4.433 7.294
O -6.875 -2.240 3.943
O -2.983 -1.313 4.913
CELL_PARAMETERS angstrom
-2.592 4.466 5.913
-7.413 -1.750 -1.924
0.206 -6.247 4.823
! Formation energy: -2.125 eV per atom
! Total moment: 3.418 μB/f.u.
! Symmetry: P1 (1)
! Total energy after the MP2020 corrections: -295.157 eV for the cell shown

***

3.
! K3NaCr2O8 | the Materials Project database | GGA+U | relaxed; values from VASP
&SYSTEM
  ibrav = 0, nat = 28, ntyp = 4
/
ATOMIC_SPECIES
K 39.10 K.upf
Na 22.99 Na.upf
Cr 52.00 Cr.upf
O 16.00 O.upf
ATOMIC_POSITIONS angstrom
K -8.659 -1.926 12.782
K -4.988 -0.430 8.149
K -2.403 -2.484 1.298
K -6.074 -3.980 5.932
K -4.653 -2.665 11.705
K -6.409 -1.745 2.376
Na -2.540 2.023 6.876
Na 0.000 0.000 0.000
Cr -7.232 -3.040 8.953
Cr -6.411 0.681 11.981
Cr -3.830 -1.370 5.128
Cr -4.651 -5.092 2.100
O -7.710 -2.671 10.482
O -5.775 0.203 10.542
O -3.352 -1.739 3.599
O -5.287 -4.613 3.539
O -5.570 -3.246 8.904
O -6.096 -0.468 13.158
O -5.492 -1.165 5.177
O -4.966 -3.942 0.922
O -7.650 -1.817 7.891
O -8.068 0.879 11.857
O -3.412 -2.594 6.189
O -2.994 -5.289 2.223
O -7.960 -4.463 8.451
O -5.727 2.134 12.457
O -3.102 0.053 5.629
O -5.335 -6.544 1.624
CELL_PARAMETERS angstrom
-5.217 -2.703 -1.107
-0.765 -5.753 1.435
-5.080 4.046 13.752
! Energy above the most stable polymorph in this dataset: 2 meV/atom
! Formation energy: -2.052 eV per atom
! Total moment: 0.000 μB/f.u.
! Symmetry: C2/c (15)
! Total energy after the MP2020 corrections: -184.537 eV for the cell shown

***

4.
! Li3Mn2P3O12 | the Materials Project database | GGA+U | relaxed; values from VASP
&SYSTEM
  ibrav = 0, nat = 80, ntyp = 4
/
ATOMIC_SPECIES
Li 6.94 Li.upf
Mn 54.94 Mn.upf
P 30.97 P.upf
O 16.00 O.upf
ATOMIC_POSITIONS angstrom
Li -3.183 4.294 7.484
Li 0.867 4.733 1.968
Li -1.485 5.153 5.216
Li -0.225 4.306 7.983
Li 4.158 5.636 0.153
Li 1.640 13.076 6.021
Li 1.640 2.231 3.701
Li 4.158 9.672 9.570
Li -0.225 11.002 1.739
Li -1.485 10.155 4.506
Li 0.867 10.574 7.754
Li -3.183 11.013 2.238
Mn -4.661 5.680 2.149
Mn 4.862 6.353 6.969
Mn 0.360 7.654 4.861
Mn 3.224 7.654 4.861
Mn -3.383 7.258 0.000
Mn -0.411 7.258 0.000
Mn 4.862 8.955 2.753
Mn -4.661 9.628 7.573
P 0.817 1.768 0.842
P -0.795 2.115 5.848
P -1.916 4.339 0.833
P 1.813 4.929 5.431
P 2.198 7.258 1.871
P -2.284 7.699 2.878
P -2.284 7.609 6.844
P 2.198 8.050 7.851
P 1.813 10.378 4.291
P -1.916 10.969 8.889
P -0.795 13.193 3.874
P 0.817 13.540 8.880
O -0.600 1.249 1.148
O 0.554 1.657 6.449
O -0.574 2.196 4.307
O 0.783 2.957 9.051
O 1.289 2.890 1.766
O -1.332 3.433 6.425
O -1.928 3.507 2.149
O 1.978 4.035 4.223
O 1.665 4.245 6.797
O -2.007 4.293 9.267
O -3.199 5.268 0.905
O -0.651 5.226 0.833
O 2.541 5.829 1.440
O 0.479 5.791 5.318
O 3.106 5.866 5.514
O -2.692 6.191 6.422
O -3.396 6.669 3.209
O 3.346 7.052 8.171
O -1.020 7.135 3.525
O 1.893 7.229 3.421
O 4.801 7.118 3.557
O -4.790 7.848 1.127
O 0.905 7.471 8.486
O -1.976 7.741 1.290
O -1.976 7.566 8.433
O 0.905 7.837 1.236
O -4.790 7.460 8.595
O 4.801 8.190 6.165
O 1.893 8.078 6.301
O -1.020 8.172 6.197
O 3.346 8.255 1.551
O -3.396 8.639 6.513
O -2.692 9.117 3.300
O 3.106 9.442 4.208
O 0.479 9.517 4.404
O 2.541 9.479 8.283
O -0.651 10.082 8.889
O -3.199 10.040 8.818
O -2.007 11.015 0.455
O 1.665 11.062 2.925
O 1.978 11.273 5.499
O -1.928 11.801 7.573
O -1.332 11.875 3.297
O 1.289 12.418 7.956
O 0.783 12.351 0.671
O -0.574 13.112 5.415
O 0.554 13.651 3.273
O -0.600 14.059 8.575
CELL_PARAMETERS angstrom
6.626 7.258 0.000
-6.626 7.258 0.000
0.000 0.791 9.722
! Energy above the most stable polymorph in this dataset: 48 meV/atom
! Formation energy: -2.515 eV per atom
! Total moment: 8.002 μB/f.u.
! Symmetry: C2 (5)
! Total energy after the MP2020 corrections: -599.905 eV for the cell shown

***

- Among the records above, which one has the highest total energy after the MP2020 corrections?
  MgZnCo4O8